# 1
The following is a DFT calculation (PBE+U) of an optimized crystal structure of Li9Mn2Co5O16.

Computed properties:
Total energy = -5.824 eV/atom
M_tot = 8.0 μB/f.u.
Volume = 8.89 Å³/atom

a b c (Å): 4.9954 5.8732 10.2240
angles (deg): 89.66 98.19 106.56
Last column: nearest neighbours and their distance in Å.
Atoms (fractional coordinates):
Li 0.4916 0.8714 0.6181  5 O 2.07-2.22
O 0.7406 0.6644 0.5659  2 Co 1.87-2.05, 2 Li 2.01-2.09
O 0.7684 0.7142 0.0716  2 Mn 1.96-2.03, 1 Co 1.96, 2 Li 2.14-2.19
Co 0.9980 0.2519 0.7420  5 O 1.92-2.11
O 0.2434 0.0816 0.6900  3 Co 1.92-2.12, 1 Li 2.10
O 0.2509 0.2868 0.9382  1 Mn 1.94, 1 Co 1.95, 2 Li 2.15-2.17
Li 0.4960 0.6216 0.8706  6 O 2.09-2.27
Li 0.5074 0.1277 0.3756  6 O 2.11-2.22
O 0.2468 0.0398 0.1783  1 Co 1.95, 2 Mn 1.98-2.04, 1 Li 2.12
Mn 0.9998 0.7454 0.2540  6 O 1.88-2.04
O 0.7656 0.1633 0.0665  1 Mn 1.90, 1 Co 1.97, 2 Li 2.12-2.13
Mn 0.0069 0.0029 0.0041  6 O 1.90-1.98
O 0.7480 0.9222 0.2968  1 Co 1.92, 1 Mn 1.94, 2 Li 2.06-2.08
O 0.7459 0.1921 0.5657  3 Co 2.01-2.09, 3 Li 2.07-2.11
O 0.2518 0.5913 0.1848  1 Co 1.93, 1 Mn 1.95, 3 Li 2.03-2.11
Li 0.9961 0.7488 0.7398  5 O 2.01-2.23
O 0.2716 0.8414 0.9515  2 Co 1.96-2.00, 1 Mn 1.96, 1 Li 2.17
Co 0.4969 0.3823 0.6146  5 O 1.87-2.07
Co 0.5034 0.1248 0.8768  5 O 1.92-2.12
Li 0.5024 0.3795 0.1348  6 O 2.03-2.25
O 0.7613 0.9525 0.8331  2 Co 1.95-2.11, 1 Mn 1.96, 1 Li 2.09
Li 0.4938 0.6247 0.3718  6 O 2.06-2.16
O 0.2364 0.3209 0.4431  2 Co 1.90-2.00, 3 Li 2.06-2.08
O 0.7465 0.4090 0.8157  2 Co 1.92-1.98, 1 Li 2.13
Li 0.0064 0.4970 0.0061  6 O 2.03-2.20
Co 0.5092 0.8755 0.1291  6 O 1.92-2.00
O 0.2167 0.8068 0.4231  1 Mn 1.88, 1 Co 2.01, 2 Li 2.03-2.10
Li 0.9856 0.9964 0.4967  6 O 2.03-2.19
Co 0.9999 0.4987 0.4927  6 O 1.90-2.11
O 0.2371 0.5562 0.6834  3 Co 1.99-2.11, 3 Li 2.01-2.12
O 0.7694 0.4557 0.3085  1 Mn 1.89, 3 Li 2.02-2.08, 1 Co 2.04
Li 0.0063 0.2530 0.2569  6 O 2.02-2.20



# 2
The following is a DFT calculation (PBE+U) of an optimized crystal structure of K3Mn3H2C12O13.

Computed properties:
Total energy = -6.890 eV/atom
M_tot = 0.0 μB/f.u.
Volume = 14.92 Å³/atom

a b c (Å): 14.2091 8.8708 15.9331
angles (deg): 78.69 90.00 90.00
Last column: nearest neighbours and their distance in Å.
Atoms (fractional coordinates):
O 0.0569 0.0669 0.8158  1 C 1.18
O 0.8867 0.4348 0.6092  1 C 1.19
C 0.8177 0.0149 0.3629  1 O 1.18
C 0.7171 0.5479 0.4318  1 O 1.21
K 0.9660 0.8196 0.6405  6 O 2.71-3.03
O 0.3405 0.8813 0.1050  1 C 1.18
O 0.1891 0.5755 0.0790  1 C 1.21
O 0.3881 0.9246 0.5528  1 C 1.18
H 0.1816 0.5803 0.8157  1 O 0.98
C 0.1114 0.4607 0.6224  1 O 1.18
O 0.6973 0.3186 0.6728  2 H 0.97-0.98
O 0.5081 0.1500 0.0492  1 C 1.19
H 0.8184 0.4197 0.1843  1 O 0.98
C 0.8805 0.9043 0.2335  1 O 1.18
H 0.3622 0.7368 0.3245  1 O 0.97
O 0.9919 0.1500 0.5492  1 C 1.19
C 0.6114 0.5393 0.8776  1 O 1.18
Mn 0.8399 0.6514 0.4495  3 C 1.76-1.80
O 0.0578 0.3747 0.8999  1 C 1.18
H 0.6378 0.2632 0.6755  1 O 0.97
O 0.5254 0.6980 0.3168  1 C 1.19
O 0.7186 0.5983 0.2327  1 C 1.18
Mn 0.2166 0.1312 0.6957  4 C 1.75-1.82
O 0.3109 0.5755 0.5790  1 C 1.21
O 0.4746 0.3020 0.6832  1 C 1.19
C 0.6195 0.9043 0.7335  1 O 1.18
C 0.8027 0.9872 0.7472  1 O 1.19
C 0.3027 0.0128 0.7528  1 O 1.19
C 0.2171 0.4521 0.0682  1 O 1.21
Mn 0.2834 0.1312 0.1957  4 C 1.75-1.82
C 0.8886 0.5393 0.3776  1 O 1.18
Mn 0.6601 0.6514 0.9495  3 C 1.76-1.80
O 0.1388 0.9319 0.2918  1 C 1.19
Mn 0.7834 0.8688 0.3043  4 C 1.75-1.82
C 0.2541 0.3009 0.7351  1 O 1.18
C 0.9406 0.7732 0.4463  1 O 1.19
O 0.3612 0.9319 0.7918  1 C 1.19
C 0.7541 0.6991 0.7649  1 O 1.18
O 0.3027 0.6814 0.3272  2 H 0.97-0.98
Mn 0.3334 0.2467 0.5551  3 C 1.77-1.79
O 0.8405 0.1187 0.3950  1 C 1.18
H 0.6816 0.4197 0.6843  1 O 0.98
O 0.2186 0.4017 0.2673  1 C 1.18
C 0.3670 0.4771 0.9544  1 O 1.19
C 0.1973 0.0128 0.2528  1 O 1.19
O 0.8109 0.4245 0.9210  1 C 1.21
C 0.1330 0.4771 0.4544  1 O 1.19
O 0.6891 0.4245 0.4210  1 C 1.21
O 0.9422 0.6253 0.1001  1 C 1.18
C 0.8670 0.5229 0.5456  1 O 1.19
C 0.5815 0.7210 0.3679  1 O 1.19
O 0.9746 0.6980 0.8168  1 C 1.19
Mn 0.1601 0.3486 0.5505  3 C 1.76-1.80
H 0.8622 0.2632 0.1755  1 O 0.97
C 0.7829 0.5479 0.9318  1 O 1.21
Mn 0.7166 0.8688 0.8043  4 C 1.75-1.82
O 0.0764 0.5366 0.6671  1 C 1.18
O 0.4236 0.5366 0.1671  1 C 1.18
O 0.8612 0.0681 0.7082  1 C 1.19
K 0.5885 0.3272 0.2909  7 O 2.79-3.07
O 0.9431 0.9331 0.1842  1 C 1.18
C 0.6330 0.5229 0.0456  1 O 1.19
K 0.7364 0.1941 0.0487  5 O 2.62-2.92, 1 H 2.85
O 0.6595 0.1187 0.8950  1 C 1.18
C 0.6020 0.6745 0.5381  1 O 1.18
H 0.3184 0.5803 0.3157  1 O 0.98
Mn 0.1666 0.2467 0.0551  3 C 1.77-1.79
O 0.5578 0.6253 0.6001  1 C 1.18
O 0.1133 0.5652 0.3908  1 C 1.19
O 0.8881 0.0754 0.9472  1 C 1.18
O 0.6119 0.0754 0.4472  1 C 1.18
C 0.2779 0.1945 0.9906  1 O 1.21
C 0.7221 0.8055 0.0094  1 O 1.21
C 0.4406 0.2268 0.0537  1 O 1.19
C 0.5594 0.7732 0.9463  1 O 1.19
O 0.4919 0.8500 0.9508  1 C 1.19
C 0.8672 0.9480 0.9447  1 O 1.18
O 0.1595 0.8813 0.6050  1 C 1.18
O 0.9236 0.4634 0.3329  1 C 1.18
O 0.8027 0.3186 0.1728  2 H 0.97-0.98
K 0.2364 0.8059 0.4513  5 O 2.62-2.92, 1 H 2.85
O 0.0081 0.8500 0.4508  1 C 1.19
O 0.5764 0.4634 0.8329  1 C 1.18
O 0.1119 0.9246 0.0528  1 C 1.18
O 0.6133 0.4348 0.1092  1 C 1.19
O 0.5569 0.9331 0.6842  1 C 1.18
O 0.7006 0.8864 0.0596  1 C 1.21
C 0.3177 0.9851 0.1371  1 O 1.18
O 0.2814 0.4017 0.7673  1 C 1.18
C 0.6973 0.9872 0.2472  1 O 1.19
C 0.7459 0.6991 0.2649  1 O 1.18
K 0.4115 0.6728 0.7091  7 O 2.79-3.07
O 0.2006 0.1136 0.4404  1 C 1.21
C 0.2459 0.3009 0.2351  1 O 1.18
K 0.4660 0.1804 0.8595  6 O 2.71-3.03
C 0.3805 0.0957 0.2665  1 O 1.18
C 0.6823 0.0149 0.8629  1 O 1.18
C 0.7779 0.8055 0.5094  1 O 1.21
O 0.6388 0.0681 0.2082  1 C 1.19
C 0.2829 0.4521 0.5682  1 O 1.21
C 0.2221 0.1945 0.4906  1 O 1.21
C 0.0815 0.2790 0.1321  1 O 1.19
Mn 0.6666 0.7533 0.4449  3 C 1.77-1.79
K 0.0340 0.1804 0.3595  6 O 2.71-3.03
C 0.1020 0.3255 0.9619  1 O 1.18
C 0.1195 0.0957 0.7665  1 O 1.18
C 0.0594 0.2268 0.5537  1 O 1.19
K 0.9115 0.3272 0.7909  7 O 2.79-3.07
C 0.8980 0.6745 0.0381  1 O 1.18
O 0.4422 0.3747 0.3999  1 C 1.18
C 0.1823 0.9851 0.6371  1 O 1.18
C 0.1328 0.0520 0.0553  1 O 1.18
C 0.9185 0.7210 0.8679  1 O 1.19
O 0.1973 0.6814 0.8272  2 H 0.97-0.98
O 0.7814 0.5983 0.7327  1 C 1.18
H 0.1378 0.7368 0.8245  1 O 0.97
C 0.6328 0.9480 0.4447  1 O 1.18
C 0.3886 0.4607 0.1224  1 O 1.18
O 0.7994 0.8864 0.5596  1 C 1.21
C 0.3672 0.0520 0.5553  1 O 1.18
O 0.3867 0.5652 0.8908  1 C 1.19
Mn 0.3399 0.3486 0.0505  3 C 1.76-1.80
C 0.4185 0.2790 0.6321  1 O 1.19
K 0.0885 0.6728 0.2091  7 O 2.79-3.07
K 0.2636 0.8059 0.9513  5 O 2.62-2.92, 1 H 2.85
K 0.7636 0.1941 0.5487  5 O 2.62-2.92, 1 H 2.85
K 0.5340 0.8196 0.1405  6 O 2.71-3.03
Mn 0.8334 0.7533 0.9449  3 C 1.77-1.79
C 0.3980 0.3255 0.4619  1 O 1.18
O 0.4431 0.0669 0.3158  1 C 1.18
O 0.2994 0.1136 0.9404  1 C 1.21
O 0.0254 0.3020 0.1832  1 C 1.19



# 3
The following is a DFT calculation (PBE+U) of an optimized crystal structure of Fe4O3F5.

Computed properties:
Total energy = -5.893 eV/atom
M_tot = 9.0 μB/f.u.
Volume = 11.82 Å³/atom

a b c (Å): 4.7383 5.6480 10.6770
angles (deg): 82.99 90.00 90.00
Last column: nearest neighbours and their distance in Å.
Atoms (fractional coordinates):
Fe 0.8000 0.7581 0.2651  2 O 1.87-1.92, 3 F 2.04-2.09
O 0.5419 0.2689 0.5583  3 Fe 1.90-2.08
F 0.4393 0.0169 0.8316  3 Fe 2.04-2.15
Fe 0.7676 0.9963 0.5119  3 O 1.90-2.03, 2 F 2.08
Fe 0.2324 0.9963 0.0119  3 O 1.90-2.03, 2 F 2.08
F 0.0677 0.4752 0.6771  3 Fe 2.05-2.12
F 0.5607 0.0169 0.3316  3 Fe 2.04-2.15
F 0.9500 0.2385 0.9175  3 Fe 2.05-2.21
Fe 0.7361 0.4962 0.9979  2 O 1.90-2.02, 4 F 2.05-2.12
Fe 0.2639 0.4962 0.4979  2 O 1.90-2.02, 4 F 2.05-2.12
F 0.0500 0.2385 0.4175  3 Fe 2.05-2.21
O 0.9562 0.9701 0.6704  3 Fe 1.87-2.06
Fe 0.2691 0.2439 0.2347  2 O 2.06-2.08, 4 F 2.07-2.21
F 0.5486 0.5439 0.8212  3 Fe 2.07-2.20
F 0.4514 0.5439 0.3212  3 Fe 2.07-2.20
F 0.4486 0.7644 0.5819  3 Fe 2.05-2.28
O 0.0432 0.7277 0.9324  3 Fe 1.92-2.03
F 0.5514 0.7644 0.0819  3 Fe 2.05-2.28
O 0.4581 0.2689 0.0583  3 Fe 1.90-2.08
Fe 0.2000 0.7581 0.7651  2 O 1.87-1.92, 3 F 2.04-2.09
F 0.9323 0.4752 0.1771  3 Fe 2.05-2.12
O 0.9568 0.7277 0.4324  3 Fe 1.92-2.03
Fe 0.7309 0.2439 0.7347  2 O 2.06-2.08, 4 F 2.07-2.21
O 0.0438 0.9701 0.1704  3 Fe 1.87-2.06



The lowest total energy belongs to which entry?
K3Mn3H2C12O13